Below is P3Ru after structural relaxation, with properties calculated at the GGA-PBE level.

Calculated values
Calculated density ... 5.2 g/cm³
Space-group type ... P-1
Uncorrected energy ... -110.4 eV/cell
DFT formation energy ... -524 meV/atom

Cell lengths 5.924, 5.977, 8.146 Å; angles 68.68, 70.25, 72.60 degrees
Fractional coordinates of all 16 atoms:
P (0.152, 0.317, 0.415)
P (0.170, 0.918, 0.181)
P (0.193, 0.529, 0.948)
P (0.318, 0.947, 0.559)
P (0.322, 0.336, 0.734)
P (0.340, 0.217, 0.158)
P (0.660, 0.783, 0.842)
P (0.678, 0.664, 0.266)
P (0.682, 0.053, 0.441)
P (0.807, 0.471, 0.052)
P (0.830, 0.082, 0.819)
P (0.848, 0.683, 0.585)
Ru (0.228, 0.931, 0.872)
Ru (0.277, 0.634, 0.456)
Ru (0.723, 0.366, 0.544)
Ru (0.772, 0.069, 0.128)